Density functional theory data (GGA+U) for MgCr3Se3S3O24 after structural relaxation.

```
MgCr3Se3S3O24
1.0
8.464 0.000 0.000
-4.202 7.351 0.000
-4.126 -2.407 7.585
O Mg S Se Cr
24 1 3 3 3
Direct
0.319 0.981 0.605
0.830 0.509 0.946
0.587 0.701 0.058
0.650 0.992 0.707
0.710 0.681 0.712
0.280 0.287 0.609
0.169 0.398 0.763
0.178 0.473 0.056
0.020 0.627 0.760
0.988 0.973 0.300
0.043 0.065 0.703
0.380 0.770 0.764
0.868 0.602 0.240
0.341 0.013 0.298
0.368 0.670 0.404
0.416 0.306 0.919
0.619 0.320 0.594
0.372 0.886 0.081
0.964 0.346 0.228
0.601 0.105 0.917
0.731 0.710 0.408
0.592 0.227 0.221
0.669 0.026 0.389
0.295 0.316 0.302
0.710 0.868 0.563
0.493 0.963 0.748
0.499 0.038 0.249
0.223 0.259 0.750
0.206 0.462 0.253
0.790 0.745 0.255
0.789 0.536 0.750
0.293 0.648 0.930
0.304 0.146 0.451
0.703 0.347 0.068
```

Calculated values
Energy of formation from the pure elements, eV/atom: -1.743
Space-group type: No. 1